[1]
78
Lattice="-0.0123 -0.7620 11.7985 10.9801 1.3648 -4.1665 3.9427 7.8633 3.7622" Properties=species:S:1:pos:R:3 comment="NiP3O9 | the Materials Project database | PBE+U | optimized geometry" energy_ev_per_cell=-521.5 delta_e_f_ev_per_fu=-29.1 spacegroup="No. 9" de_polymorph_mev_per_atom=35 pbc="T T T"
Ni 11.0646 4.5588 6.3135
Ni 7.3282 0.2856 6.9959
Ni 3.6940 0.3654 0.4863
Ni 7.5762 4.3748 -0.2603
Ni 3.7215 3.9209 5.1905
Ni 3.9542 7.2242 9.7444
P 10.0630 1.8677 7.9301
P 12.7291 5.9338 8.8022
P 5.8354 2.3549 9.0224
P 9.4961 3.1254 3.7181
P 12.1367 7.1243 4.6148
P 8.4798 6.4790 9.9383
P 10.4693 2.7334 -0.8853
P 3.0133 1.6213 9.7784
P 6.6009 2.4891 4.4233
P 4.6334 5.1545 12.3348
P 11.8963 6.8902 1.6212
P 6.5216 1.7344 1.4794
P 8.1539 6.3399 6.9120
P 2.7799 1.0151 6.7881
P 5.5003 5.0871 7.7068
P 9.1255 5.7931 2.3162
P 2.1510 2.6811 2.5013
P 4.7344 6.7312 3.4934
O 10.9247 0.8133 7.0878
O 12.3953 4.6481 9.6962
O 10.6775 3.2375 7.8094
O 8.6282 1.7791 7.4862
O 12.6731 7.1738 9.6552
O 6.8425 2.3537 10.1357
O 11.8073 5.9444 7.6132
O 10.3714 3.2043 4.9412
O 9.6637 1.8856 2.8797
O 5.8874 1.1401 8.1291
O 13.5316 7.1982 5.1650
O 10.4580 1.5558 0.0313
O 9.9180 6.6668 10.3437
O 3.3716 0.3006 10.4061
O 6.8218 1.3120 5.3074
O 7.9194 5.0983 10.1572
O 11.4805 5.7725 4.7500
O 11.9694 3.3101 -0.8886
O 5.6201 4.1700 11.8018
O 12.7687 5.6690 1.5023
O 9.1952 5.3215 6.6045
O 5.1061 5.5324 13.8236
O 4.3308 2.5329 9.5383
O 7.9577 3.2943 4.1019
O 10.3037 2.1119 -2.3721
O 6.0593 3.6504 8.1298
O 9.7488 4.3958 2.7891
O 12.0427 7.5752 3.0820
O 8.2527 6.9017 8.4177
O 3.2770 4.3026 12.5774
O 11.2351 8.2021 5.3569
O 7.5582 7.5222 10.7149
O 6.1100 1.9398 2.9952
O 2.4646 1.3412 8.3066
O 2.0093 2.4980 10.4424
O 9.5267 3.8737 -0.6600
O 7.4697 2.8163 1.0504
O 3.6331 2.0865 6.1766
O 6.7243 5.6088 6.8473
O 5.6632 3.5844 4.8375
O 10.3722 6.4214 1.5660
O 12.0355 7.9881 0.6248
O 4.3576 6.4238 11.5916
O 5.3169 5.9500 8.9214
O 1.4610 0.7514 6.1120
O 5.2911 1.5805 0.6255
O 8.7403 6.6249 3.5033
O 8.0598 7.5984 6.1010
O 8.0532 5.5771 1.2819
O 4.2827 4.9357 6.8343
O 3.2628 2.9730 3.4768
O 2.5616 1.9106 1.2827
O 6.0041 7.0536 4.2395
O 3.8540 5.7109 4.1499

[2]
44
Lattice="-1.0746 5.2895 6.3320 -6.7068 0.7899 -1.7981 -5.5633 -5.9042 3.9880" Properties=species:S:1:pos:R:3 comment="Ni2P2O7 | the Materials Project database | PBE+U | optimized geometry" energy_ev_per_cell=-286.5 delta_e_f_ev_per_fu=-24.5 spacegroup="No. 14" de_polymorph_mev_per_atom=0 pbc="T T T"
Ni -7.0873 -2.2636 5.5270
Ni -6.2574 2.4388 2.9950
Ni -9.4530 1.5241 7.4280
Ni -3.8917 -1.3489 1.0940
Ni -9.1664 0.0549 4.6921
Ni -4.1783 0.1203 3.8300
Ni -6.5852 -4.6764 3.6159
Ni -6.7595 4.8516 4.9061
P -5.4378 -0.3470 7.7918
P -7.9069 0.5222 0.7302
P -10.7328 -2.2122 2.9848
P -2.6119 2.3874 5.5372
P -6.7585 -1.5451 2.6035
P -6.5862 1.7203 5.9185
P -9.3141 -1.4964 7.5957
P -4.0306 1.6716 0.9263
O -7.4574 -0.9095 1.3214
O -5.8873 1.0847 7.2006
O -2.9275 3.1601 4.1571
O -10.4172 -2.9849 4.3649
O -8.0637 1.3002 5.9292
O -5.2810 -1.1250 2.5928
O -8.0988 -3.8990 4.7999
O -5.2459 4.0742 3.7221
O -5.5369 -3.2279 4.6202
O -7.8078 3.4032 3.9018
O -10.6150 0.5769 6.0465
O -2.7297 -0.4017 2.4755
O -7.4605 -1.0613 3.8785
O -5.8842 1.2365 4.6435
O -8.9656 -0.2402 8.4037
O -4.3791 0.4154 0.1183
O -6.0211 -0.3827 9.2103
O -7.3236 0.5579 -0.6883
O -10.4419 -0.7370 3.2895
O -2.9028 0.9122 5.2325
O -6.9590 -3.0425 2.3313
O -6.3857 3.2177 6.1907
O -8.8208 -1.4399 6.1431
O -4.5239 1.6151 2.3789
O -5.9293 -1.4493 6.8960
O -7.4154 1.6245 1.6260
O -9.9005 -2.7870 1.8730
O -3.4442 2.9622 6.6490

[3]
88
Lattice="-1.5912 -5.6220 2.7264 8.3265 0.7054 6.3142 -10.0389 8.7854 12.2569" Properties=species:S:1:pos:R:3 comment="Ni3P4O15 | the Materials Project database | PBE+U | optimized geometry" energy_ev_per_cell=-543.4 delta_e_f_ev_per_fu=-40.6 spacegroup="No. 33" pbc="T T T"
Ni -8.3090 7.2484 10.2381
Ni 2.0771 -1.2308 6.1526
Ni -6.1460 2.3961 16.4560
Ni -2.5874 3.0730 15.9869
Ni 1.1561 3.5091 15.3889
Ni -5.7852 5.3827 11.2593
Ni -0.6588 0.9990 5.2120
Ni -3.3242 3.3748 12.7839
Ni 5.7715 -0.6726 9.7466
Ni 2.5390 -1.3107 9.9396
Ni 0.7867 3.2010 7.2008
Ni -5.2250 -2.3439 7.2196
P -3.8445 0.0378 5.3626
P 5.0345 -2.1328 7.0119
P -8.6874 4.0748 11.0412
P 6.1616 2.5423 8.9235
P -0.3519 2.2288 12.8621
P 0.9061 -3.6308 8.1944
P -2.3330 3.8260 7.3753
P -7.7195 8.1876 13.2254
P 0.4566 0.0315 8.0405
P -4.9855 4.7591 14.4321
P -0.2349 1.0904 17.2639
P 0.5909 -1.2389 3.3248
P 0.4033 -0.5859 12.1857
P -4.0665 3.1845 9.7277
P -4.2541 3.8374 18.5887
P -2.9825 6.5856 11.9241
O -3.4823 2.5775 11.0034
O 0.9326 2.2134 5.4657
O -8.7486 7.3701 14.1364
O 1.3145 -0.1236 11.0450
O -1.7954 2.2176 4.0942
O -5.9814 4.0942 15.3728
O 3.9960 0.0214 10.3574
O 2.8895 0.5228 5.5618
O -2.2898 -0.2335 5.1987
O 0.9540 4.0309 8.9655
O -4.4120 -0.5908 6.6281
O -3.5152 4.2030 14.5963
O -0.5053 0.6449 12.7039
O -2.8470 3.0521 8.6769
O -5.0532 6.2642 14.6560
O 3.8996 -2.0700 5.9796
O -0.5815 -0.6414 8.9407
O -4.4297 4.6586 9.9294
O -6.5786 6.3951 9.7045
O -7.4243 7.2720 12.0452
O -1.8071 8.6149 16.8064
O -7.1282 3.9253 10.8887
O 0.4572 1.5306 8.3331
O 5.3963 -3.6731 7.2444
O 0.2072 -0.2712 6.5165
O -0.7211 -2.0065 3.1625
O -6.4803 8.4932 14.0791
O 1.3201 5.2078 14.3065
O 4.6276 -1.6121 8.3837
O -0.0992 2.8712 11.4931
O -0.8315 4.0424 16.0436
O 1.9173 -0.5426 8.1933
O -4.1668 1.8225 15.9049
O -3.5112 3.9268 6.3958
O -3.5841 -0.3434 10.4547
O -5.5695 3.1739 18.2071
O -0.8021 6.2418 17.3130
O -9.8944 3.9400 15.6042
O 6.0744 1.0372 8.6626
O -7.6107 0.9990 9.9303
O 0.3356 0.2443 3.6082
O -3.9901 1.5284 13.3571
O -9.2041 3.4461 12.3368
O 3.1686 -2.3741 11.5327
O 1.1875 -1.0716 13.3963
O 1.5666 -3.0415 6.9548
O -2.5482 5.1247 12.0587
O -1.6828 1.7392 17.2448
O 4.1241 2.2237 11.6805
O -1.6151 2.6770 13.5845
O -1.1816 2.9829 6.8443
O 0.9305 2.4964 13.6629
O 1.5402 -1.8690 4.3338
O -5.2169 2.3765 9.1446
O -4.5442 6.8027 11.9445
O -3.4508 4.2907 17.3661
O 6.2112 -1.4122 6.3436
O 1.2373 -2.8313 9.5243
O -2.7308 -3.1828 4.3772
O -5.2098 4.3371 12.9191

[4]
13
Lattice="-3.2441 5.1298 -1.0708 -2.8708 -4.4822 -3.1071 -0.8289 -1.2965 5.9681" Properties=species:S:1:pos:R:3 comment="NiP3O9 | the Materials Project database | PBE+U | optimized geometry" energy_ev_per_cell=-87.3 delta_e_f_ev_per_fu=-29.5 spacegroup="No. 146" de_polymorph_mev_per_atom=3 pbc="T T T"
Ni -0.0040 -0.0004 0.0010
P -4.3435 2.4010 -2.2271
P -2.4306 1.1326 4.7329
P -3.1169 -4.4580 0.0443
O -1.2695 -1.2951 -0.7281
O -3.6273 0.6763 3.7420
O -0.7076 -0.3907 1.7792
O -1.3790 1.3722 -0.1859
O -5.7730 0.7848 2.3971
O -6.2833 -0.4571 -0.0323
O -4.9421 1.4157 -1.0901
O -5.5711 -1.9750 2.1798
O -4.0667 -3.2729 0.6058

[5]
26
Lattice="-3.4927 -1.3443 5.4302 -3.8490 -3.8403 -4.3078 5.5416 -4.7453 1.7790" Properties=species:S:1:pos:R:3 comment="NiP3O9 | the Materials Project database | PBE+U | optimized geometry" energy_ev_per_cell=-174.0 delta_e_f_ev_per_fu=-29.2 spacegroup="No. 2" de_polymorph_mev_per_atom=28 pbc="T T T"
Ni -5.6960 -5.3005 0.9128
Ni 3.8959 -4.6295 1.9887
P -2.9553 -6.7562 2.1761
P 1.6757 -5.0455 4.6015
P -0.0533 -6.6258 2.7155
P -1.7468 -3.3042 0.1860
P -3.4758 -4.8845 -1.7000
P 1.1552 -3.1737 0.7254
O -2.0372 -3.4961 5.1029
O -3.9230 -5.6114 2.0108
O 1.8802 -5.8678 5.8637
O -0.0834 -8.0613 3.1533
O -2.7413 -7.4378 0.7241
O 0.3542 -5.6235 3.8693
O -1.5251 -6.0568 2.4553
O -2.6347 -3.4286 1.4148
O -4.5871 -5.0660 -0.7492
O 2.7871 -4.8640 3.6507
O 0.8346 -6.5014 1.4867
O -0.2750 -3.8732 0.4462
O -2.1543 -4.3065 -0.9678
O 0.9413 -2.4921 2.1774
O -1.7166 -1.8686 -0.2518
O -3.6803 -4.0622 -2.9622
O 2.1230 -4.3185 0.8907
O 0.2371 -6.4339 -2.2014

[6]
40
Lattice="6.3459 0.0675 1.3761 -1.4165 6.2173 1.2302 0.0109 0.0691 13.3554" Properties=species:S:1:pos:R:3 comment="NiP2O7 | the Materials Project database | PBE+U | optimized geometry" energy_ev_per_cell=-255.5 delta_e_f_ev_per_fu=-20.0 spacegroup="No. 15" de_polymorph_mev_per_atom=0 pbc="T T T"
Ni 3.4448 5.5345 13.5076
Ni 4.3261 2.6184 6.3092
Ni 0.6142 3.7354 9.6525
Ni 1.4955 0.8193 2.4541
P 0.3632 4.7021 12.8152
P 4.5771 1.6517 3.1464
P 4.3471 5.7432 7.2573
P 4.0167 3.7390 9.4005
P 1.2286 4.1668 2.2414
P 0.9237 2.6148 6.5612
P 0.5932 0.6106 8.7044
P 3.7117 2.1870 13.7203
O 4.4198 2.4704 1.7659
O 4.5800 1.2118 12.9569
O 4.9923 3.4026 10.5197
O 4.1775 6.2772 11.7296
O 0.3604 5.1421 3.0048
O -0.0519 2.9513 5.4420
O 0.7628 0.0767 4.2321
O -0.9814 5.3927 12.8342
O 0.3278 1.2917 7.2668
O 1.4196 2.8308 2.9455
O 0.2077 5.7379 9.7501
O 0.9752 3.7506 7.6002
O 0.3917 3.6422 11.7005
O 0.9723 1.7140 9.6887
O 2.5873 4.8303 1.9485
O 0.5205 3.8835 14.1958
O 2.3280 2.3231 6.0814
O 4.6126 5.0621 8.6949
O 1.5724 5.6224 12.6699
O 2.6123 4.0307 9.8803
O 5.9217 0.9612 3.1274
O 2.3531 1.5236 14.0131
O 3.9680 4.6399 6.2729
O 4.5487 2.7117 4.2612
O 3.9651 2.6033 8.3615
O 4.7326 0.6159 6.2116
O 3.5207 3.5231 13.0162
O 3.3680 0.7314 3.2918

[7]
26
Lattice="-1.3794 -6.6120 1.7002 -1.7800 -2.0046 -6.4756 6.2889 -2.6706 -2.7134" Properties=species:S:1:pos:R:3 comment="NiP3O9 | the Materials Project database | PBE+U | optimized geometry" energy_ev_per_cell=-173.9 delta_e_f_ev_per_fu=-29.1 spacegroup="No. 2" de_polymorph_mev_per_atom=34 pbc="T T T"
Ni -0.3117 -2.5531 -3.7956
Ni 3.4413 -8.7342 -3.6932
P 2.8073 -2.9074 -2.8832
P 2.8911 -5.6808 -7.1629
P 3.6245 -5.3710 -4.3913
P -0.4950 -5.9162 -3.0976
P 0.2384 -5.6064 -0.3260
P 0.3222 -8.3798 -4.6056
O 0.7951 -2.5908 -5.4491
O 1.3841 -2.4894 -2.6764
O 4.2279 -5.1116 -7.5956
O 4.8724 -4.6570 -4.8725
O 3.4253 -2.9542 -1.3735
O 2.8323 -4.4610 -3.3307
O 2.5554 -5.3490 -5.6409
O -0.5634 -4.5405 -3.6517
O 0.2348 -4.1150 -0.0314
O 2.8948 -7.1722 -7.4575
O 3.6929 -6.7467 -3.8371
O 0.5741 -5.9383 -1.8480
O 0.2973 -6.8263 -4.1581
O -0.2958 -8.3330 -6.1153
O -1.7428 -6.6303 -2.6164
O -1.0983 -6.1757 0.1068
O 1.7454 -8.7978 -4.8125
O 2.3344 -8.6964 -2.0397

[8]
40
Lattice="5.9236 -0.1153 -1.7349 0.5443 9.6079 4.4040 0.0117 0.3003 9.0108" Properties=species:S:1:pos:R:3 comment="NiP2O7 | the Materials Project database | PBE+U | optimized geometry" energy_ev_per_cell=-252.0 delta_e_f_ev_per_fu=-19.1 spacegroup="No. 1" de_polymorph_mev_per_atom=87 pbc="T T T"
Ni 2.3785 2.5507 4.9985
Ni 4.6015 7.4307 3.0807
Ni 1.8835 2.3977 8.5333
Ni 4.0933 7.2947 6.6181
P 0.6599 2.1411 2.4471
P 5.8216 7.6963 9.1606
P 2.2890 9.5289 11.0331
P 5.4916 2.9408 4.7678
P 3.7548 5.1992 4.0446
P 0.9819 6.8966 6.8524
P 4.1976 0.3049 0.5781
P 2.7202 4.6386 7.5814
O 0.9849 1.5175 1.0514
O 0.5718 6.4975 10.8004
O 5.5950 0.7821 1.1964
O 0.1760 2.9367 7.9024
O 4.2035 2.1378 4.5493
O 1.4600 5.3496 6.9291
O 0.5054 2.7523 5.3267
O 5.5124 8.3018 10.5670
O 4.0361 9.0885 6.0599
O 5.0073 4.4883 4.7131
O 1.5354 0.6285 7.9739
O 2.7757 3.1837 6.9182
O 5.9657 7.1040 6.2860
O 4.9650 9.1956 3.6449
O 6.2998 6.8753 3.7143
O 3.0012 8.1724 11.2545
O 3.4900 1.6623 0.3457
O 1.9790 1.9171 3.2403
O 2.2683 7.7042 7.0618
O 3.6992 6.6579 4.6977
O 2.5119 4.3644 4.3121
O 4.1059 5.6161 2.6019
O 5.9062 3.3386 0.7853
O 0.8876 9.0572 10.4197
O 4.4994 7.9306 8.3758
O 2.3740 4.2105 9.0219
O 2.4377 0.7549 5.5511
O 3.9573 5.4803 7.3119